Here is Ca3AsP after structural relaxation from the Materials Project database. Energies are from PBE.

- excess energy over the best structure of this formula in the dataset (eV/atom) = 0.000
- SG = Pm-3m, No. 221
- crystal system = cubic

Unit cell a=5.334 b=5.334 c=5.334 alpha=90.00 beta=90.00 gamma=90.00
Fractional coordinates of all 5 atoms:
Ca (0.000, 0.000, 0.500)
Ca (0.000, 0.500, 0.000)
Ca (0.500, 0.000, 0.000)
As (0.500, 0.500, 0.500)
P (0.000, 0.000, 0.000)


Here is NbAgN2 after structural relaxation from the Materials Project database. Energies are from PBE.

- SG = Pbca, No. 61
- crystal system = orthorhombic

Unit cell a=5.925 b=11.890 c=14.476 alpha=90.00 beta=90.00 gamma=90.00
Fractional coordinates of all 64 atoms:
Nb (0.163, 0.031, 0.185)
Nb (0.163, 0.469, 0.685)
Nb (0.229, 0.716, 0.560)
Nb (0.229, 0.784, 0.060)
Nb (0.271, 0.216, 0.560)
Nb (0.271, 0.284, 0.060)
Nb (0.337, 0.531, 0.185)
Nb (0.337, 0.969, 0.685)
Nb (0.663, 0.031, 0.315)
Nb (0.663, 0.469, 0.815)
Nb (0.729, 0.716, 0.940)
Nb (0.729, 0.784, 0.440)
Nb (0.771, 0.216, 0.940)
Nb (0.771, 0.284, 0.440)
Nb (0.837, 0.531, 0.315)
Nb (0.837, 0.969, 0.815)
Ag (0.191, 0.225, 0.803)
Ag (0.191, 0.275, 0.303)
Ag (0.210, 0.502, 0.934)
Ag (0.210, 0.998, 0.434)
Ag (0.290, 0.002, 0.934)
Ag (0.290, 0.498, 0.434)
Ag (0.309, 0.725, 0.803)
Ag (0.309, 0.775, 0.303)
Ag (0.691, 0.225, 0.697)
Ag (0.691, 0.275, 0.197)
Ag (0.710, 0.502, 0.566)
Ag (0.710, 0.998, 0.066)
Ag (0.790, 0.002, 0.566)
Ag (0.790, 0.498, 0.066)
Ag (0.809, 0.725, 0.697)
Ag (0.809, 0.775, 0.197)
N (0.099, 0.232, 0.953)
N (0.099, 0.268, 0.453)
N (0.154, 0.012, 0.793)
N (0.154, 0.488, 0.293)
N (0.176, 0.194, 0.166)
N (0.176, 0.306, 0.666)
N (0.210, 0.053, 0.580)
N (0.210, 0.447, 0.080)
N (0.290, 0.553, 0.580)
N (0.290, 0.947, 0.080)
N (0.324, 0.694, 0.166)
N (0.324, 0.806, 0.666)
N (0.346, 0.512, 0.793)
N (0.346, 0.988, 0.293)
N (0.401, 0.732, 0.953)
N (0.401, 0.768, 0.453)
N (0.599, 0.232, 0.547)
N (0.599, 0.268, 0.047)
N (0.654, 0.012, 0.707)
N (0.654, 0.488, 0.207)
N (0.676, 0.194, 0.334)
N (0.676, 0.306, 0.834)
N (0.710, 0.053, 0.920)
N (0.710, 0.447, 0.420)
N (0.790, 0.553, 0.920)
N (0.790, 0.947, 0.420)
N (0.824, 0.694, 0.334)
N (0.824, 0.806, 0.834)
N (0.846, 0.512, 0.707)
N (0.846, 0.988, 0.207)
N (0.901, 0.732, 0.547)
N (0.901, 0.768, 0.047)


Here is U2PSe2 after structural relaxation from the Materials Project database. Energies are from PBE.

- SG = P4/mmm, No. 123
- crystal system = tetragonal

Unit cell a=2.699 b=2.699 c=15.262 alpha=90.00 beta=90.00 gamma=90.00
Fractional coordinates of all 5 atoms:
U (0.000, 0.000, 0.179)
U (0.000, 0.000, 0.821)
P (0.000, 0.000, 0.000)
Se (0.000, 0.000, 0.371)
Se (0.000, 0.000, 0.629)


Here is Lu3Cd after structural relaxation from the Materials Project database. Energies are from PBE.

- SG = Pm-3m, No. 221
- crystal system = cubic

Unit cell a=4.761 b=4.761 c=4.761 alpha=90.00 beta=90.00 gamma=90.00
Fractional coordinates of all 4 atoms:
Lu (0.000, 0.000, 0.500)
Lu (0.000, 0.500, 0.000)
Lu (0.500, 0.000, 0.000)
Cd (0.500, 0.500, 0.500)


| no. | formation energy (eV/f.u.) |
| --- | --- |
| 1 | -4.28 |
| 2 | -1.60 |
| 3 | 0.46 |
| 4 | -0.32 |